LiVO3: optimized geometry, PBE with a Hubbard U.

The structure in CIF format:
```
data_LiVO3
_symmetry_space_group_name_H-M 'P 1'
_symmetry_Int_Tables_number 1
_symmetry_space_group_name_Hall 'P 1'
_cell_length_a 7.649
_cell_length_b 7.649
_cell_length_c 5.798
_cell_angle_alpha 68.57
_cell_angle_beta 68.57
_cell_angle_gamma 83.53
loop_
_atom_site_label
_atom_site_fract_x
_atom_site_fract_y
_atom_site_fract_z
_atom_site_occupancy
Li1 0.685 0.315 0.750 1
Li2 0.315 0.685 0.250 1
Li3 0.303 0.697 0.750 1
Li4 0.697 0.303 0.250 1
V1 0.694 0.883 0.713 1
V2 0.306 0.117 0.287 1
V3 0.117 0.306 0.787 1
V4 0.883 0.694 0.213 1
O1 0.888 0.359 0.875 1
O2 0.641 0.112 0.625 1
O3 0.112 0.641 0.125 1
O4 0.503 0.255 0.123 1
O5 0.168 0.163 0.076 1
O6 0.255 0.503 0.623 1
O7 0.359 0.888 0.375 1
O8 0.745 0.497 0.377 1
O9 0.837 0.832 0.424 1
O10 0.497 0.745 0.877 1
O11 0.163 0.168 0.576 1
O12 0.832 0.837 0.924 1
```

Values from the calculation:
MP2020-corrected energy: -7.59 eV per atom
Crystal system: monoclinic
Formation enthalpy at 0 K: -12.14 eV/f.u.